Material: V2Cd5P8O28
Method: DFT, PBE with a Hubbard U
State: optimized geometry

```
V2Cd5P8O28
1.0
4.4587 -5.0496 0.0000
4.4587 5.0496 0.0000
0.0000 0.0000 24.5672
O Cd V P
56 10 4 16
Cartesian
4.8908 3.5737 13.5666
5.5443 -0.1001 7.6889
2.0385 -0.0014 2.4448
6.0128 1.4363 18.9355
6.8790 0.0014 14.7284
4.1240 3.4469 11.3025
3.4787 2.0196 3.1633
6.7175 1.4505 23.9302
7.2077 -0.7309 18.6272
4.1240 -3.4469 13.2647
5.4388 2.0196 9.1203
2.3982 1.9452 9.4737
2.9047 1.4363 17.9153
5.4548 1.4721 12.2339
4.4703 -2.9624 3.6961
3.4627 1.4721 0.0497
5.5692 -3.7828 19.7206
6.5192 -1.9452 21.7574
1.7098 0.7309 6.3436
7.2077 0.7309 5.9400
6.7175 -1.4505 0.6370
4.5958 0.1384 22.1603
2.2000 -1.4505 11.6466
6.0128 -1.4363 5.6317
4.4703 2.9624 20.8712
4.7934 -3.4469 23.5861
4.5958 -0.1384 2.4070
5.4548 -1.4721 12.3333
2.9047 -1.4363 6.6519
5.5443 0.1001 16.8784
3.3483 3.7828 7.4370
4.8908 -3.5737 11.0006
5.4388 -2.0196 15.4469
4.3217 0.1384 14.6906
6.8790 -0.0014 9.8389
4.7934 3.4469 0.9811
3.3732 -0.1001 4.5948
4.0267 3.5737 23.2842
3.3483 -3.7828 17.1302
3.4627 -1.4721 24.5175
3.3732 0.1001 19.9725
1.7098 -0.7309 18.2236
5.5692 3.7828 4.8466
4.3217 -0.1384 9.8766
6.5192 1.9452 2.8099
0.9364 -0.1712 9.2122
4.4472 2.9624 15.9797
2.2000 1.4505 12.9206
0.9364 0.1712 15.3550
2.3982 -1.9452 15.0935
3.4787 -2.0196 21.4039
7.9811 -0.1712 3.0714
4.4472 -2.9624 8.5875
7.9811 0.1712 21.4959
2.0385 0.0014 22.1225
4.0267 -3.5737 1.2830
4.4587 -2.9973 6.1418
6.1438 1.4934 21.2147
4.4587 2.9973 18.4254
3.7407 0.0000 12.2836
6.1438 -1.4934 3.3525
5.1768 0.0000 0.0000
1.7099 0.0000 0.0000
2.7737 -1.4934 8.9311
2.7737 1.4934 15.6362
7.2076 0.0000 12.2836
5.1610 -3.4576 21.5760
5.1610 3.4576 2.9912
3.7565 3.4576 9.2924
3.7565 -3.4576 15.2748
2.1902 -0.5110 5.6647
6.7273 -0.5110 6.6189
5.3626 2.9929 12.1370
3.5549 2.9929 0.1466
5.4502 3.6879 15.1011
3.4673 3.6879 21.7497
3.5549 -2.9929 24.4206
5.5462 -0.4688 15.3791
5.5462 0.4688 9.1881
5.3626 -2.9929 12.4302
5.4502 -3.6879 9.4661
3.4673 -3.6879 2.8175
3.3713 0.4688 3.0955
6.7273 0.5110 17.9483
2.1902 0.5110 18.9025
3.3713 -0.4688 21.4717
```

Calculated values
E (MP2020) in eV/atom: -7.233
Formation energy from the elements in eV/atom: -2.47
Mass density in g/cm3: 4.08
Energy in Ha/atom: -0.246